# SrMg6NiO8, relaxed, DFT PBE+U
# Energy relative to the elements, meV/atom: -2632
# Volume, A^3/atom: 10.9
data_SrMg6NiO8
_cell_length_a 8.705
_cell_length_b 4.470
_cell_length_c 4.470
_cell_angle_alpha 90.00
_cell_angle_beta 90.00
_cell_angle_gamma 90.00
_space_group_name_H-M_alt 'P 1'
_space_group_IT_number 1
_space_group_name_Hall 'P 1'
loop_
_atom_site_label
_atom_site_fract_x
_atom_site_fract_y
_atom_site_fract_z
Mg1 0.500 0.500 0.500
Mg2 0.741 0.000 0.500
Mg3 0.500 0.000 0.000
Mg4 0.741 0.500 0.000
Mg5 0.259 0.000 0.500
Mg6 0.259 0.500 0.000
O1 0.251 0.000 0.000
O2 0.727 0.500 0.500
O3 0.000 0.500 0.000
O4 0.500 0.000 0.500
O5 0.749 0.000 0.000
O6 0.273 0.500 0.500
O7 0.000 0.000 0.500
O8 0.500 0.500 0.000
Ni1 0.000 0.000 0.000
Sr1 0.000 0.500 0.500

***

# Mn3Co3Te2O16, relaxed, DFT PBE+U
# Energy relative to the elements, meV/atom: -1455
# Volume, A^3/atom: 11.9
data_Mn3Co3Te2O16
_cell_length_a 5.931
_cell_length_b 5.974
_cell_length_c 9.276
_cell_angle_alpha 91.80
_cell_angle_beta 89.16
_cell_angle_gamma 119.75
_space_group_name_H-M_alt 'P 1'
_space_group_IT_number 1
_space_group_name_Hall 'P 1'
loop_
_atom_site_label
_atom_site_fract_x
_atom_site_fract_y
_atom_site_fract_z
O1 0.002 0.995 0.704
O2 0.162 0.809 0.402
O3 0.836 0.173 0.910
O4 0.465 0.957 0.657
O5 0.996 0.992 0.203
O6 0.347 0.169 0.902
O7 0.039 0.530 0.659
O8 0.653 0.823 0.403
O9 0.334 0.670 0.890
O10 0.543 0.505 0.151
O11 0.478 0.522 0.649
O12 0.962 0.490 0.157
O13 0.837 0.654 0.901
O14 0.519 0.050 0.151
O15 0.167 0.339 0.406
O16 0.667 0.341 0.389
Te1 0.671 0.335 0.011
Te2 0.330 0.662 0.512
Co1 0.826 0.165 0.281
Co2 0.171 0.338 0.784
Co3 0.663 0.829 0.786
Mn1 0.829 0.658 0.289
Mn2 0.333 0.167 0.295
Mn3 0.170 0.827 0.792

***

# K2CrO4, relaxed, DFT PBE+U
# Energy relative to the elements, meV/atom: -2065
# Volume, A^3/atom: 17.8
# Relative energy among the computed polymorphs, eV per formula unit: 0.00
data_K2CrO4
_cell_length_a 6.048
_cell_length_b 7.771
_cell_length_c 10.593
_cell_angle_alpha 90.00
_cell_angle_beta 90.00
_cell_angle_gamma 90.00
_space_group_name_H-M_alt 'P 1'
_space_group_IT_number 1
_space_group_name_Hall 'P 1'
loop_
_atom_site_label
_atom_site_fract_x
_atom_site_fract_y
_atom_site_fract_z
O1 0.250 0.309 0.066
O2 0.525 0.706 0.156
O3 0.250 0.012 0.926
O4 0.025 0.794 0.656
O5 0.750 0.691 0.934
O6 0.750 0.988 0.074
O7 0.750 0.488 0.426
O8 0.975 0.206 0.344
O9 0.475 0.294 0.844
O10 0.975 0.706 0.156
O11 0.525 0.206 0.344
O12 0.750 0.191 0.566
O13 0.475 0.794 0.656
O14 0.250 0.809 0.434
O15 0.250 0.512 0.574
O16 0.025 0.294 0.844
Cr1 0.250 0.726 0.580
Cr2 0.750 0.774 0.080
Cr3 0.750 0.274 0.420
Cr4 0.250 0.226 0.920
K1 0.250 0.496 0.300
K2 0.250 0.167 0.578
K3 0.750 0.004 0.800
K4 0.250 0.996 0.200
K5 0.250 0.667 0.922
K6 0.750 0.504 0.700
K7 0.750 0.833 0.422
K8 0.750 0.333 0.078

***

# Li2MnP2O7, relaxed, DFT PBE+U
# Energy relative to the elements, meV/atom: -2629
# Volume, A^3/atom: 12.1
# Relative energy among the computed polymorphs, eV per formula unit: 0.51
data_Li2MnP2O7
_cell_length_a 8.462
_cell_length_b 7.350
_cell_length_c 9.978
_cell_angle_alpha 69.38
_cell_angle_beta 90.00
_cell_angle_gamma 90.00
_space_group_name_H-M_alt 'P 1'
_space_group_IT_number 1
_space_group_name_Hall 'P 1'
loop_
_atom_site_label
_atom_site_fract_x
_atom_site_fract_y
_atom_site_fract_z
Li1 0.115 0.265 0.384
Li2 0.638 0.831 0.125
Li3 0.920 0.553 0.165
Li4 0.914 0.908 0.718
Li5 0.138 0.169 0.875
Li6 0.615 0.735 0.616
Li7 0.420 0.447 0.835
Li8 0.414 0.092 0.282
O1 0.302 0.410 0.427
O2 0.855 0.647 0.856
O3 0.601 0.198 0.361
O4 0.101 0.802 0.639
O5 0.839 0.347 0.444
O6 0.145 0.363 0.651
O7 0.880 0.040 0.409
O8 0.161 0.647 0.062
O9 0.695 0.581 0.081
O10 0.793 0.052 0.118
O11 0.647 0.027 0.914
O12 0.645 0.637 0.349
O13 0.908 0.219 0.862
O14 0.355 0.353 0.144
O15 0.147 0.973 0.086
O16 0.214 0.971 0.384
O17 0.195 0.419 0.919
O18 0.408 0.781 0.138
O19 0.555 0.676 0.830
O20 0.802 0.590 0.573
O21 0.055 0.324 0.170
O22 0.443 0.330 0.675
O23 0.661 0.353 0.938
O24 0.943 0.670 0.325
O25 0.714 0.029 0.616
O26 0.339 0.653 0.556
O27 0.380 0.960 0.591
O28 0.293 0.948 0.882
P1 0.763 0.155 0.958
P2 0.194 0.423 0.072
P3 0.304 0.426 0.576
P4 0.263 0.845 0.042
P5 0.694 0.577 0.928
P6 0.748 0.144 0.456
P7 0.248 0.856 0.544
P8 0.804 0.574 0.424
Mn1 0.999 0.981 0.249
Mn2 0.988 0.517 0.733
Mn3 0.499 0.019 0.751
Mn4 0.488 0.483 0.267

***

Question: Which formula does entry 4 have?
Answer: Li2MnP2O7